[1]
## Mg6NbVO8 (PBE with a Hubbard U)

Data for Mg6NbVO8 after structural relaxation.

abc: 4.3350 4.3350 8.7716
angles: 90.00 90.00 90.00
With the nearest neighbours (Å) after each atom.
Space group P4/mmm (No. 123)
Asymmetric unit:
Mg (0.0000, 0.0000, 0.0000)  6 O 2.17-2.20
Mg (0.0000, 0.0000, 0.5000)  6 O 2.17-2.19
Mg (0.0000, 0.5000, 0.2462)  6 O 2.16-2.23
Nb (0.5000, 0.5000, 0.5000)  6 O 2.17-2.26
V (0.5000, 0.5000, 0.0000)  6 O 2.13-2.17
O (0.0000, 0.0000, 0.2509)  6 Mg 2.17-2.20
O (0.0000, 0.5000, 0.0000)  4 Mg 2.16-2.17, 2 V 2.17
O (0.0000, 0.5000, 0.5000)  2 Nb 2.17, 4 Mg 2.17-2.23
O (0.5000, 0.5000, 0.2426)  1 V 2.13, 4 Mg 2.17, 1 Nb 2.26

Output
E_tot: -6.440 eV per atom
Excess energy over the best structure of this formula in the dataset: 31 meV per atom
Formation enthalpy at 0 K: -2.62 eV per atom
V: 10.3 Å³ per atom
ρ: 4.2 g/cm³

***

[2]
## MgNb4VO12 (PBE with a Hubbard U)

Data for MgNb4VO12 after structural relaxation.

abc: 5.3156 5.6622 7.7709
angles: 85.10 89.95 89.81
With the nearest neighbours (Å) after each atom.
Space group P1 (No. 1)
Asymmetric unit:
Mg (0.0000, 0.0000, 0.0000)  6 O 2.07-2.16
Nb (0.9996, 0.5820, 0.2921)  3 O 1.89-1.90
Nb (0.4990, 0.0804, 0.7896)  3 O 1.88-1.90
Nb (0.5008, 0.0718, 0.2838)  3 O 1.91
Nb (0.9967, 0.5721, 0.7901)  3 O 1.91-1.92
V (0.5004, 0.4887, 0.4965)  6 O 2.13-2.14
O (0.0836, 0.6284, 0.0556)  1 Nb 1.89
O (0.1993, 0.9081, 0.7739)  1 Nb 1.88
O (0.2156, 0.3213, 0.3571)  1 Nb 1.90
O (0.3130, 0.4273, 0.7397)  1 Nb 1.92, 1 V 2.14
O (0.3221, 0.7936, 0.3701)  1 Nb 1.91, 1 V 2.13
O (0.3598, 0.1070, 0.0573)  1 Nb 1.91, 1 Mg 2.07
O (0.5887, 0.1231, 0.5523)  1 Nb 1.90
O (0.6966, 0.4092, 0.2688)  1 Nb 1.90
O (0.7214, 0.8275, 0.8575)  1 Nb 1.89
O (0.8172, 0.9311, 0.2339)  1 Nb 1.91, 1 Mg 2.07
O (0.8204, 0.2925, 0.8762)  1 Nb 1.91, 1 Mg 2.07
O (0.8668, 0.6099, 0.5589)  1 Nb 1.92, 1 V 2.14

Output
E_tot: -8.516 eV per atom
Excess energy over the best structure of this formula in the dataset: 4 meV per atom
Formation enthalpy at 0 K: -2.93 eV per atom
V: 12.9 Å³ per atom
ρ: 4.6 g/cm³

***

[3]
## MgNbV3O8 (PBE with a Hubbard U)

Data for MgNbV3O8 after structural relaxation.

abc: 4.0006 6.6352 6.7744
angles: 105.99 90.01 107.40
With the nearest neighbours (Å) after each atom.
Space group P1 (No. 1)
Asymmetric unit:
Mg (0.0000, 0.0000, 0.0000)  4 O 2.00-2.06
Nb (0.8294, 0.6531, 0.3024)  2 O 1.79-1.89
V (0.4223, 0.8421, 0.7072)  5 O 1.95-2.07
V (0.5320, 0.0629, 0.3433)  4 O 1.92-2.06
V (0.7361, 0.4643, 0.7092)  6 O 1.97-2.15
O (0.2714, 0.5362, 0.7148)  3 V 1.95-2.05
O (0.3682, 0.7321, 0.3683)  2 Nb 2.08, 2 V 2.15-2.20
O (0.5023, 0.0045, 0.0107)  2 Mg 2.00, 2 V 2.02-2.18
O (0.5722, 0.1404, 0.6387)  3 V 1.92-2.07
O (0.6996, 0.3933, 0.3853)  1 Nb 1.89, 2 V 2.03-2.11
O (0.7743, 0.5408, 0.0274)  1 Nb 1.79
O (0.9023, 0.8015, 0.7004)  3 V 2.02-2.15, 1 Mg 2.06
O (0.9959, 0.9905, 0.2950)  1 Mg 2.02, 2 V 2.06, 1 Nb 2.15

Output
E_tot: -7.870 eV per atom
Excess energy over the best structure of this formula in the dataset: 0 meV per atom
Formation enthalpy at 0 K: -2.64 eV per atom
V: 12.6 Å³ per atom
ρ: 4.0 g/cm³

***

[4]
## MgNb4VO12 (PBE with a Hubbard U)

Data for MgNb4VO12 after structural relaxation.

abc: 5.2941 5.7341 7.6686
angles: 84.69 89.68 89.81
With the nearest neighbours (Å) after each atom.
Space group P1 (No. 1)
Asymmetric unit:
Mg (0.0000, 0.0000, 0.0000)  6 O 2.06-2.23
Nb (0.0162, 0.5698, 0.2989)  3 O 1.84-1.96
Nb (0.4901, 0.0915, 0.7803)  3 O 1.87-1.95
Nb (0.5096, 0.0934, 0.2794)  3 O 1.89-1.97
Nb (0.9835, 0.5677, 0.8010)  3 O 1.84-1.97
V (0.9994, 0.9944, 0.4935)  6 O 2.11-2.19
O (0.0956, 0.6366, 0.5564)  2 Nb 1.97-2.09, 1 V 2.12
O (0.1770, 0.2946, 0.8728)  1 Nb 1.91, 1 Mg 2.09
O (0.1827, 0.9413, 0.2435)  1 Nb 1.97, 1 Mg 2.11, 1 V 2.19
O (0.2873, 0.8374, 0.8635)  1 Nb 1.87
O (0.3145, 0.4190, 0.2556)  1 Nb 1.84
O (0.3685, 0.1147, 0.5483)  1 Nb 1.89
O (0.6387, 0.1100, 0.0490)  1 Nb 1.89, 1 Mg 2.06
O (0.6856, 0.4199, 0.7592)  1 Nb 1.84
O (0.7061, 0.8308, 0.3644)  1 Nb 1.89, 1 V 2.11
O (0.8143, 0.9365, 0.7484)  1 Nb 1.95, 1 V 2.18
O (0.8172, 0.2987, 0.3644)  1 Nb 1.91
O (0.9097, 0.6443, 0.0558)  2 Nb 1.96-2.08, 1 Mg 2.10

Output
E_tot: -8.510 eV per atom
Excess energy over the best structure of this formula in the dataset: 10 meV per atom
Formation enthalpy at 0 K: -2.93 eV per atom
V: 12.9 Å³ per atom
ρ: 4.6 g/cm³

***

[5]
## MgNbVO4 (PBE with a Hubbard U)

Data for MgNbVO4 after structural relaxation.

abc: 3.0034 5.4162 5.6036
angles: 73.66 88.35 87.40
With the nearest neighbours (Å) after each atom.
Space group P1 (No. 1)
Asymmetric unit:
Mg (0.0000, 0.0000, 0.0000)  4 O 1.96-2.10
Nb (0.9554, 0.3238, 0.3427)  4 O 1.99-2.09
V (0.5084, 0.7034, 0.7420)  5 O 2.02-2.18
O (0.4328, 0.5084, 0.4875)  1 V 2.02, 2 Nb 2.09
O (0.4828, 0.1451, 0.1419)  2 Mg 1.96-1.97
O (0.9755, 0.6192, 0.0185)  1 Mg 2.04, 1 Nb 2.06, 2 V 2.06-2.17
O (0.9956, 0.0030, 0.6244)  1 Nb 1.99, 1 Mg 2.10, 2 V 2.16-2.18

Output
E_tot: -7.620 eV per atom
Excess energy over the best structure of this formula in the dataset: 156 meV per atom
Formation enthalpy at 0 K: -2.46 eV per atom
V: 12.5 Å³ per atom
ρ: 4.4 g/cm³

***

[6]
## MgNbVO4 (PBE with a Hubbard U)

Data for MgNbVO4 after structural relaxation.

abc: 5.2563 2.9429 5.2649
angles: 90.00 90.92 90.00
With the nearest neighbours (Å) after each atom.
Space group P2/m (No. 10)
Asymmetric unit:
Mg (0.0000, 0.0000, 0.0000)  6 O 2.00-2.11
Nb (0.5000, 0.5000, 0.0000)  6 O 2.09-2.13
V (0.0000, 0.0000, 0.5000)  6 O 2.22-2.23
O (0.1703, 0.5000, 0.7726)  1 Nb 2.09, 2 Mg 2.11, 2 V 2.23
O (0.3119, 0.0000, 0.2218)  1 Mg 2.00, 2 Nb 2.13, 1 V 2.22

Output
E_tot: -7.703 eV per atom
Excess energy over the best structure of this formula in the dataset: 73 meV per atom
Formation enthalpy at 0 K: -2.54 eV per atom
V: 11.6 Å³ per atom
ρ: 4.7 g/cm³

***

[7]
## SrNdMgWO6 (PBE with a Hubbard U)

Data for SrNdMgWO6 after structural relaxation.

abc: 7.9898 7.9898 7.9898
angles: 90.00 90.00 90.00
With the nearest neighbours (Å) after each atom.
Space group F-43m (No. 216)
Asymmetric unit:
Sr (0.0000, 0.0000, 0.0000)  12 O 2.82
Nd (0.0000, 0.0000, 0.5000)  12 O 2.82
Mg (0.2500, 0.2500, 0.2500)  6 O 2.02
W (0.2500, 0.2500, 0.7500)  6 O 1.98
O (0.0026, 0.2500, 0.7500)  1 W 1.98, 1 Mg 2.02

Output
E_tot: -7.110 eV per atom
Formation enthalpy at 0 K: -2.90 eV per atom
V: 12.8 Å³ per atom
ρ: 7.0 g/cm³

***

[8]
## MgNi2O4 (PBE with a Hubbard U)

Data for MgNi2O4 after structural relaxation.

abc: 2.9055 9.5224 9.3448
angles: 90.00 90.00 90.00
With the nearest neighbours (Å) after each atom.
Space group Cmcm (No. 63)
Asymmetric unit:
Mg (0.0000, 0.1076, 0.2500)  6 O 2.04-2.23
Ni (0.0000, 0.3654, 0.0698)  6 O 1.90-2.04
O (0.0000, 0.0000, 0.0000)  4 Ni 2.04
O (0.0000, 0.2757, 0.6139)  3 Ni 1.92-2.02
O (0.0000, 0.4578, 0.2500)  2 Ni 1.90, 2 Mg 2.04

Output
E_tot: -5.098 eV per atom
Excess energy over the best structure of this formula in the dataset: 59 meV per atom
Formation enthalpy at 0 K: -1.51 eV per atom
V: 9.2 Å³ per atom
ρ: 5.3 g/cm³

***

[9]
## MgNi2O4 (PBE with a Hubbard U)

Data for MgNi2O4 after structural relaxation.

abc: 3.0491 3.0727 9.0589
angles: 88.87 89.65 60.39
With the nearest neighbours (Å) after each atom.
Space group P1 (No. 1)
Asymmetric unit:
Mg (0.0000, 0.0000, 0.0000)  4 O 1.94-1.96
Ni (0.6648, 0.6735, 0.3244)  6 O 1.97-2.06
Ni (0.6663, 0.6682, 0.7324)  3 O 1.93
O (0.0007, 0.0039, 0.2146)  1 Mg 1.94, 3 Ni 2.01-2.06
O (0.3299, 0.3409, 0.4247)  3 Ni 1.97-2.02
O (0.3307, 0.3436, 0.9077)  3 Mg 1.96
O (0.9976, 0.0101, 0.6472)  3 Ni 1.93

Output
E_tot: -4.839 eV per atom
Excess energy over the best structure of this formula in the dataset: 318 meV per atom
Formation enthalpy at 0 K: -1.25 eV per atom
V: 10.5 Å³ per atom
ρ: 4.6 g/cm³

***

[10]
## MgNi2O4 (PBE with a Hubbard U)

Data for MgNi2O4 after structural relaxation.

abc: 8.6595 2.8970 10.1871
angles: 90.00 90.00 90.00
With the nearest neighbours (Å) after each atom.
Space group Pnma (No. 62)
Asymmetric unit:
Mg (0.2445, 0.2500, 0.1608)  8 O 2.19-2.41
Ni (0.0606, 0.2500, 0.3847)  6 O 1.91-2.05
Ni (0.0861, 0.2500, 0.9000)  6 O 1.92-2.00
O (0.0272, 0.7500, 0.7874)  3 Ni 1.91-1.92
O (0.0957, 0.2500, 0.5748)  3 Ni 1.96-2.02, 2 Mg 2.19
O (0.1213, 0.7500, 0.0325)  3 Ni 1.92-2.00
O (0.2114, 0.7500, 0.3227)  3 Ni 1.92-2.05

Output
E_tot: -5.093 eV per atom
Excess energy over the best structure of this formula in the dataset: 63 meV per atom
Formation enthalpy at 0 K: -1.50 eV per atom
V: 9.1 Å³ per atom
ρ: 5.3 g/cm³

***

[11]
## MgNi2O4 (PBE with a Hubbard U)

Data for MgNi2O4 after structural relaxation.

abc: 5.8760 5.8760 14.3640
angles: 90.00 90.00 120.00
With the nearest neighbours (Å) after each atom.
Space group R3m (No. 160, hexagonal axes)
Asymmetric unit:
Mg (0.0000, 0.0000, 0.0000)  6 O 2.04-2.08
Mg (0.0000, 0.0000, 0.3834)  4 O 1.94-1.97
Ni (0.0000, 0.0000, 0.6181)  4 O 1.82-1.92
Ni (0.1708, 0.3416, 0.8335)  5 O 1.91-2.03
O (0.0000, 0.0000, 0.2483)  1 Mg 1.94, 3 Ni 2.03
O (0.0000, 0.0000, 0.7451)  1 Ni 1.82
O (0.0334, 0.5167, 0.7606)  2 Ni 1.91, 2 Mg 1.97-2.04
O (0.1773, 0.3546, 0.5727)  3 Ni 1.92-1.97, 1 Mg 2.08

Output
E_tot: -5.113 eV per atom
Excess energy over the best structure of this formula in the dataset: 44 meV per atom
Formation enthalpy at 0 K: -1.52 eV per atom
V: 10.2 Å³ per atom
ρ: 4.8 g/cm³

***

[12]
## MgNi2O4 (PBE with a Hubbard U)

Data for MgNi2O4 after structural relaxation.

abc: 2.9398 7.2410 7.2610
angles: 78.54 79.05 79.86
With the nearest neighbours (Å) after each atom.
Space group P1 (No. 1)
Asymmetric unit:
Mg (0.0000, 0.0000, 0.0000)  5 O 2.02-2.07
Mg (0.3475, 0.6802, 0.6193)  5 O 2.03-2.07
Ni (0.0325, 0.6545, 0.2651)  5 O 1.94-2.08
Ni (0.3146, 0.0254, 0.3538)  6 O 1.93-2.16
Ni (0.5400, 0.3154, 0.6273)  5 O 1.89-2.07
Ni (0.8059, 0.3653, 0.9908)  5 O 1.89-2.07
O (0.1487, 0.1630, 0.5651)  3 Ni 1.89-1.95
O (0.1965, 0.5190, 0.0509)  3 Ni 1.89-1.96
O (0.4741, 0.1864, 0.8881)  2 Ni 1.93-2.07, 2 Mg 2.04-2.05
O (0.5008, 0.8396, 0.1433)  2 Mg 2.02-2.03, 3 Ni 2.05-2.16
O (0.5316, 0.5155, 0.4061)  3 Ni 1.94-1.96, 1 Mg 2.07
O (0.8151, 0.1650, 0.2128)  3 Ni 1.94-1.97, 1 Mg 2.07
O (0.8444, 0.8419, 0.4780)  2 Mg 2.03, 3 Ni 2.05-2.19
O (0.8759, 0.4922, 0.7294)  2 Ni 1.93-2.07, 2 Mg 2.05-2.06

Output
E_tot: -4.988 eV per atom
Excess energy over the best structure of this formula in the dataset: 169 meV per atom
Formation enthalpy at 0 K: -1.40 eV per atom
V: 10.5 Å³ per atom
ρ: 4.6 g/cm³

***

[13]
## MgNi2O4 (PBE with a Hubbard U)

Data for MgNi2O4 after structural relaxation.

abc: 5.6836 5.6836 8.9266
angles: 90.00 90.00 90.00
With the nearest neighbours (Å) after each atom.
Space group I4_1/amd (No. 141, origin choice 2)
Asymmetric unit:
Mg (0.0000, 0.2500, 0.3750)  4 O 1.98
Ni (0.0000, 0.0000, 0.0000)  6 O 1.91-2.14
O (0.0000, 0.0253, 0.7607)  3 Ni 1.91-2.14, 1 Mg 1.98

Output
E_tot: -5.157 eV per atom
Excess energy over the best structure of this formula in the dataset: 0 meV per atom
Formation enthalpy at 0 K: -1.57 eV per atom
V: 10.3 Å³ per atom
ρ: 4.7 g/cm³

***

[14]
## MgNi2O4 (PBE with a Hubbard U)

Data for MgNi2O4 after structural relaxation.

abc: 2.8690 7.4029 7.5429
angles: 101.34 100.85 101.14
With the nearest neighbours (Å) after each atom.
Space group P-1 (No. 2)
Asymmetric unit:
Mg (0.0204, 0.2001, 0.3421)  5 O 1.99-2.11
Ni (0.1681, 0.8227, 0.0122)  6 O 1.88-2.05
Ni (0.3135, 0.4262, 0.7008)  5 O 1.92-2.00
O (0.0500, 0.4095, 0.1881)  3 Ni 1.92-1.96, 1 Mg 2.11
O (0.2881, 0.2312, 0.8436)  3 Ni 1.88-1.96
O (0.3374, 0.6992, 0.4746)  2 Mg 1.99, 2 Ni 2.00
O (0.3689, 0.0912, 0.1462)  3 Ni 1.96-2.05, 2 Mg 2.06

Output
E_tot: -4.987 eV per atom
Excess energy over the best structure of this formula in the dataset: 170 meV per atom
Formation enthalpy at 0 K: -1.40 eV per atom
V: 10.7 Å³ per atom
ρ: 4.6 g/cm³

***

[15]
## MgNi2O4 (PBE with a Hubbard U)

Data for MgNi2O4 after structural relaxation.

abc: 5.1197 2.9585 8.8410
angles: 90.00 90.13 90.00
With the nearest neighbours (Å) after each atom.
Space group C2/m (No. 12)
Asymmetric unit:
Mg (0.0000, 0.0000, 0.0000)  6 O 2.11-2.12
Ni (0.9998, 0.0000, 0.2902)  6 O 1.95-2.16
O (0.1665, 0.5000, 0.6040)  3 Ni 1.95
O (0.1668, 0.5000, 0.1410)  3 Mg 2.11-2.12, 3 Ni 2.15-2.16

Output
E_tot: -4.872 eV per atom
Excess energy over the best structure of this formula in the dataset: 284 meV per atom
Formation enthalpy at 0 K: -1.28 eV per atom
V: 9.6 Å³ per atom
ρ: 5.1 g/cm³

***

[16]
## Mg2Ni2O5 (PBE with a Hubbard U)

Data for Mg2Ni2O5 after structural relaxation.

abc: 4.9260 10.2972 3.7306
angles: 90.00 90.00 90.00
With the nearest neighbours (Å) after each atom.
Space group Pbam (No. 55)
Asymmetric unit:
Mg (0.2467, 0.0974, 0.0000)  4 O 2.09-2.20
Ni (0.2174, 0.3623, 0.5000)  5 O 1.90-1.99
O (0.0000, 0.0000, 0.5000)  2 Ni 1.99
O (0.1695, 0.6791, 0.5000)  2 Ni 1.95-1.97, 2 Mg 2.09
O (0.1942, 0.3967, 0.0000)  2 Ni 1.90, 1 Mg 2.09

Output
E_tot: -5.085 eV per atom
Formation enthalpy at 0 K: -1.64 eV per atom
V: 10.5 Å³ per atom
ρ: 4.3 g/cm³

***

[17]
## MgNi2O4 (PBE with a Hubbard U)

Data for MgNi2O4 after structural relaxation.

abc: 10.2675 5.8457 14.4557
angles: 90.00 91.46 90.00
With the nearest neighbours (Å) after each atom.
Space group Cm (No. 8)
Asymmetric unit:
Mg (0.0000, 0.0000, 0.0000)  4 O 2.00
Mg (0.0010, 0.0000, 0.7590)  4 O 1.96-1.97
Mg (0.1661, 0.5000, 0.4264)  4 O 1.98-2.03
Mg (0.3296, 0.0000, 0.0889)  4 O 1.97-1.98
Mg (0.3341, 0.0000, 0.7103)  6 O 2.05-2.11
Mg (0.4985, 0.5000, 0.3769)  6 O 2.04-2.12
Ni (0.9999, 0.5000, 0.8779)  6 O 1.90-2.06
Ni (0.0823, 0.2537, 0.2101)  6 O 1.95-2.06
Ni (0.1645, 0.0000, 0.5430)  6 O 1.91-2.12
Ni (0.1645, 0.5000, 0.0417)  6 O 1.91-2.08
Ni (0.1671, 0.5000, 0.6598)  4 O 1.96-2.04
Ni (0.2519, 0.2504, 0.8770)  6 O 1.91-2.02
Ni (0.3296, 0.5000, 0.2099)  6 O 2.00-2.02
Ni (0.3330, 0.0000, 0.3308)  4 O 1.86-1.90
Ni (0.4171, 0.2517, 0.5427)  6 O 1.91-2.08
O (0.0002, 0.0000, 0.6225)  1 Mg 1.97, 3 Ni 2.03-2.06
O (0.0135, 0.5000, 0.1322)  3 Ni 1.95-2.05, 1 Mg 1.97
O (0.0728, 0.2270, 0.4719)  2 Ni 1.91-1.92, 2 Mg 1.98-2.04
O (0.0925, 0.2794, 0.9553)  3 Ni 1.93-2.02, 1 Mg 2.00
O (0.1571, 0.0000, 0.2863)  3 Ni 1.90-1.99, 1 Mg 2.12
O (0.1659, 0.5000, 0.8009)  4 Ni 2.02-2.06
O (0.1676, 0.5000, 0.2857)  3 Ni 2.00-2.01, 1 Mg 2.03
O (0.1828, 0.0000, 0.8060)  2 Ni 1.91, 2 Mg 1.97-2.11
O (0.2371, 0.2798, 0.1255)  3 Ni 1.91-2.04, 1 Mg 1.97
O (0.2584, 0.2292, 0.6134)  3 Ni 1.93-1.97, 1 Mg 2.08
O (0.3173, 0.5000, 0.9494)  3 Ni 1.91-2.08, 1 Mg 2.00
O (0.3315, 0.0000, 0.4598)  3 Ni 1.87-2.08
O (0.3346, 0.0000, 0.9520)  1 Mg 1.98, 3 Ni 2.00-2.03
O (0.3497, 0.5000, 0.4707)  2 Ni 1.91, 2 Mg 1.98-2.07
O (0.4130, 0.2257, 0.8045)  2 Ni 1.90-1.99, 2 Mg 1.96-2.05
O (0.4179, 0.2591, 0.2882)  3 Ni 1.86-2.06, 1 Mg 2.06
O (0.4851, 0.0000, 0.6150)  3 Ni 1.93-1.96, 1 Mg 2.10
O (0.4963, 0.5000, 0.1381)  1 Mg 2.00, 3 Ni 2.00-2.02

Output
E_tot: -5.122 eV per atom
Excess energy over the best structure of this formula in the dataset: 35 meV per atom
Formation enthalpy at 0 K: -1.53 eV per atom
V: 10.3 Å³ per atom
ρ: 4.7 g/cm³